Record 1
# Mn3WO6

Mn3WO6 after structural relaxation (GGA+U, the Materials Project database).

a b c (Å): 6.3117 6.3117 6.3117
angles (deg): 91.25 91.25 91.25
Last column: nearest neighbours and their distance in Å.
Element x y z (fractional)
Mn: 0.0573 0.7498 0.5605  5 O 2.12-2.32
Mn: 0.2502 0.4395 0.9427  5 O 2.12-2.32
Mn: 0.4395 0.9427 0.2502  5 O 2.12-2.32
Mn: 0.5605 0.0573 0.7498  5 O 2.12-2.32
Mn: 0.7498 0.5605 0.0573  5 O 2.12-2.32
Mn: 0.9427 0.2502 0.4395  5 O 2.12-2.32
W: 0.0000 0.0000 0.0000  6 O 1.96
W: 0.5000 0.5000 0.5000  6 O 1.96
O: 0.0514 0.7070 0.9102  1 W 1.96, 1 Mn 2.14
O: 0.0898 0.9486 0.2930  1 W 1.96, 1 Mn 2.14
O: 0.2056 0.4282 0.5662  1 W 1.96, 1 Mn 2.12
O: 0.2930 0.0898 0.9486  1 W 1.96, 1 Mn 2.14
O: 0.4282 0.5662 0.2056  1 W 1.96, 1 Mn 2.12
O: 0.4338 0.7944 0.5718  1 W 1.96, 1 Mn 2.12
O: 0.5662 0.2056 0.4282  1 W 1.96, 1 Mn 2.12
O: 0.5718 0.4338 0.7944  1 W 1.96, 1 Mn 2.12
O: 0.7070 0.9102 0.0514  1 W 1.96, 1 Mn 2.14
O: 0.7944 0.5718 0.4338  1 W 1.96, 1 Mn 2.12
O: 0.9102 0.0514 0.7070  1 W 1.96, 1 Mn 2.14
O: 0.9486 0.2930 0.0898  1 W 1.96, 1 Mn 2.14

Energy of formation from the pure elements = -2134 meV/atom
E = -7.79 eV per atom
Energy with MP2020 corrections = -9.147 eV per atom

---

Record 2
# MnZn2WO6

MnZn2WO6 after structural relaxation (GGA+U, the Materials Project database).

a b c (Å): 5.3330 5.3187 9.4765
angles (deg): 90.00 122.67 90.00
Last column: nearest neighbours and their distance in Å.
Element x y z (fractional)
Mn: 0.0000 0.2495 0.0000  6 O 2.10-2.31
Mn: 0.0000 0.7505 0.5000  6 O 2.10-2.31
Zn: 0.2239 0.2249 0.7402  4 O 2.00-2.07
Zn: 0.2239 0.7751 0.2402  4 O 2.00-2.07
Zn: 0.7759 0.2751 0.2604  4 O 2.00-2.07
Zn: 0.7759 0.7249 0.7604  4 O 2.00-2.07
W: 0.4999 0.2502 0.5003  6 O 1.93-2.02
W: 0.4999 0.7498 0.0003  6 O 1.93-2.02
O: 0.1535 0.1471 0.2723  1 W 2.02, 2 Zn 2.07
O: 0.1535 0.8529 0.7723  1 W 2.02, 2 Zn 2.07
O: 0.2354 0.4105 0.5544  1 W 1.94, 1 Zn 2.05, 1 Mn 2.10
O: 0.2354 0.5895 0.0544  1 W 1.94, 1 Zn 2.05, 1 Mn 2.10
O: 0.4452 0.0609 0.0867  1 W 1.94, 1 Zn 2.00
O: 0.4452 0.9391 0.5867  1 W 1.94, 1 Zn 2.00
O: 0.5546 0.4391 0.9139  1 W 1.93, 1 Zn 2.00
O: 0.5546 0.5609 0.4139  1 W 1.93, 1 Zn 2.00
O: 0.7644 0.0896 0.4462  1 W 1.94, 1 Zn 2.05, 1 Mn 2.10
O: 0.7644 0.9104 0.9462  1 W 1.94, 1 Zn 2.05, 1 Mn 2.10
O: 0.8462 0.3529 0.7284  1 W 2.02, 2 Zn 2.07
O: 0.8462 0.6471 0.2284  1 W 2.02, 2 Zn 2.07

ΔE to the lowest computed polymorph = 0.030 eV/atom
Energy of formation from the pure elements = -1952 meV/atom
E = -6.36 eV per atom
Energy with MP2020 corrections = -7.385 eV per atom

---

Record 3
# MnZn2WO6

MnZn2WO6 after structural relaxation (GGA+U, the Materials Project database).

a b c (Å): 5.3222 7.7646 5.6511
angles (deg): 94.76 90.03 89.97
Last column: nearest neighbours and their distance in Å.
Element x y z (fractional)
Mn: 0.5086 0.9935 0.5055  6 O 2.16-2.26
Mn: 0.0087 0.4935 0.0055  6 O 2.16-2.26
Zn: 0.5082 0.2817 0.9294  3 O 2.04-2.05
Zn: 0.0081 0.7817 0.4293  3 O 2.04-2.05
Zn: 0.0083 0.2495 0.4930  3 O 1.94
Zn: 0.5084 0.7495 0.9931  3 O 1.94
W: 0.5082 0.4943 0.5034  6 O 1.91-2.03
W: 0.0082 0.9943 0.0034  6 O 1.91-2.03
O: 0.2201 0.4038 0.6928  1 Zn 1.94, 1 W 2.03, 1 Mn 2.16
O: 0.7200 0.9038 0.1929  1 Zn 1.94, 1 W 2.03, 1 Mn 2.16
O: 0.1572 0.0443 0.3324  1 Zn 1.94, 1 W 2.03, 1 Mn 2.16
O: 0.6572 0.5444 0.8324  1 Zn 1.94, 1 W 2.03, 1 Mn 2.16
O: 0.6479 0.2557 0.5439  1 Zn 1.94, 1 W 2.03, 1 Mn 2.16
O: 0.1479 0.7557 0.0438  1 Zn 1.94, 1 W 2.03, 1 Mn 2.16
O: 0.3150 0.0552 0.8579  1 W 1.91, 1 Zn 2.05
O: 0.8150 0.5553 0.3579  1 W 1.91, 1 Zn 2.05
O: 0.8656 0.2204 0.0235  1 W 1.91, 1 Zn 2.04
O: 0.3655 0.7204 0.5235  1 W 1.91, 1 Zn 2.04
O: 0.3439 0.4136 0.2153  1 W 1.91, 1 Zn 2.04
O: 0.8439 0.9136 0.7153  1 W 1.91, 1 Zn 2.04

ΔE to the lowest computed polymorph = 0.000 eV/atom
Energy of formation from the pure elements = -1983 meV/atom
E = -6.39 eV per atom
Energy with MP2020 corrections = -7.415 eV per atom

---

Record 4
# YMnO3

YMnO3 after structural relaxation (GGA+U, the Materials Project database).

a b c (Å): 5.8895 7.4955 5.3362
angles (deg): 90.00 90.00 90.00
Last column: nearest neighbours and their distance in Å.
Element x y z (fractional)
Y: 0.0829 0.2500 0.0182  4 O 2.26-2.33
Y: 0.4171 0.7500 0.5182  4 O 2.26-2.33
Y: 0.5829 0.2500 0.4818  4 O 2.26-2.33
Y: 0.9171 0.7500 0.9818  4 O 2.26-2.33
Mn: 0.0000 0.0000 0.5000  4 O 1.94-1.99
Mn: 0.0000 0.5000 0.5000  4 O 1.94-1.99
Mn: 0.5000 0.0000 0.0000  4 O 1.94-1.99
Mn: 0.5000 0.5000 0.0000  4 O 1.94-1.99
O: 0.0416 0.7500 0.3831  2 Mn 1.99
O: 0.1728 0.5557 0.8001  1 Mn 1.94
O: 0.1728 0.9443 0.8001  1 Mn 1.94
O: 0.3272 0.0557 0.3001  1 Mn 1.94
O: 0.3272 0.4443 0.3001  1 Mn 1.94
O: 0.4584 0.2500 0.8831  2 Mn 1.99
O: 0.5416 0.7500 0.1169  2 Mn 1.99
O: 0.6728 0.5557 0.6999  1 Mn 1.94
O: 0.6728 0.9443 0.6999  1 Mn 1.94
O: 0.8272 0.0557 0.1999  1 Mn 1.94
O: 0.8272 0.4443 0.1999  1 Mn 1.94
O: 0.9584 0.2500 0.6169  2 Mn 1.99

Energy of formation from the pure elements = -3013 meV/atom
E = -8.36 eV per atom
Energy with MP2020 corrections = -9.107 eV per atom

---

Record 5
# Y2Mn2O7

Y2Mn2O7 after structural relaxation (GGA+U, the Materials Project database).

a b c (Å): 7.1117 7.1117 7.1117
angles (deg): 60.00 60.00 60.00
Last column: nearest neighbours and their distance in Å.
Element x y z (fractional)
Y: 0.0000 0.0000 0.0000  2 O 2.18
Y: 0.0000 0.0000 0.5000  2 O 2.18
Y: 0.0000 0.5000 0.0000  2 O 2.18
Y: 0.5000 0.0000 0.0000  2 O 2.18
Mn: 0.0000 0.5000 0.5000  6 O 1.95
Mn: 0.5000 0.0000 0.5000  6 O 1.95
Mn: 0.5000 0.5000 0.0000  6 O 1.95
Mn: 0.5000 0.5000 0.5000  6 O 1.95
O: 0.1250 0.1250 0.1250  4 Y 2.18
O: 0.1701 0.1701 0.5799  2 Mn 1.95
O: 0.1701 0.5799 0.1701  2 Mn 1.95
O: 0.1701 0.5799 0.5799  2 Mn 1.95
O: 0.4201 0.4201 0.8299  2 Mn 1.95
O: 0.4201 0.8299 0.4201  2 Mn 1.95
O: 0.4201 0.8299 0.8299  2 Mn 1.95
O: 0.5799 0.1701 0.1701  2 Mn 1.95
O: 0.5799 0.1701 0.5799  2 Mn 1.95
O: 0.5799 0.5799 0.1701  2 Mn 1.95
O: 0.8299 0.4201 0.4201  2 Mn 1.95
O: 0.8299 0.4201 0.8299  2 Mn 1.95
O: 0.8299 0.8299 0.4201  2 Mn 1.95
O: 0.8750 0.8750 0.8750  4 Y 2.18

Energy of formation from the pure elements = -2876 meV/atom
E = -8.13 eV per atom
Energy with MP2020 corrections = -8.866 eV per atom

---

Record 6
# YMnO3

YMnO3 after structural relaxation (GGA+U, the Materials Project database).

a b c (Å): 6.2330 6.2330 11.5891
angles (deg): 90.00 90.00 120.00
Last column: nearest neighbours and their distance in Å.
Element x y z (fractional)
Y: 0.0000 0.0000 0.0000  7 O 2.31-2.35
Y: 0.0000 0.0000 0.5000  7 O 2.31-2.35
Y: 0.3333 0.6667 0.4571  7 O 2.30-2.45
Y: 0.3333 0.6667 0.9571  7 O 2.30-2.45
Y: 0.6667 0.3333 0.4571  7 O 2.30-2.45
Y: 0.6667 0.3333 0.9571  7 O 2.30-2.45
Mn: 0.0000 0.3336 0.2254  5 O 1.91-2.10
Mn: 0.0000 0.6664 0.7254  5 O 1.91-2.10
Mn: 0.3336 0.0000 0.2254  5 O 1.91-2.10
Mn: 0.3336 0.3336 0.7254  5 O 1.91-2.10
Mn: 0.6664 0.0000 0.7254  5 O 1.91-2.10
Mn: 0.6664 0.6664 0.2254  5 O 1.91-2.10
O: 0.0000 0.0000 0.2016  3 Mn 2.10, 1 Y 2.34
O: 0.0000 0.0000 0.7016  3 Mn 2.10, 1 Y 2.34
O: 0.0000 0.3077 0.3897  1 Mn 1.91
O: 0.0000 0.3586 0.0613  1 Mn 1.91
O: 0.0000 0.6414 0.5613  1 Mn 1.91
O: 0.0000 0.6923 0.8897  1 Mn 1.91
O: 0.3077 0.0000 0.3897  1 Mn 1.91
O: 0.3077 0.3077 0.8897  1 Mn 1.91
O: 0.3333 0.6667 0.2452  3 Mn 2.09
O: 0.3333 0.6667 0.7452  3 Mn 2.09
O: 0.3586 0.0000 0.0613  1 Mn 1.91
O: 0.3586 0.3586 0.5613  1 Mn 1.91
O: 0.6414 0.0000 0.5613  1 Mn 1.91
O: 0.6414 0.6414 0.0613  1 Mn 1.91
O: 0.6667 0.3333 0.2452  3 Mn 2.09
O: 0.6667 0.3333 0.7452  3 Mn 2.09
O: 0.6923 0.0000 0.8897  1 Mn 1.91
O: 0.6923 0.6923 0.3897  1 Mn 1.91

Energy of formation from the pure elements = -3036 meV/atom
E = -8.38 eV per atom
Energy with MP2020 corrections = -9.130 eV per atom

---

Record 7
# YMn2O4

YMn2O4 after structural relaxation (GGA+U, the Materials Project database).

a b c (Å): 6.3882 6.3882 6.3882
angles (deg): 126.57 126.57 78.95
Last column: nearest neighbours and their distance in Å.
Element x y z (fractional)
Y: 0.3750 0.1250 0.2500  8 O 2.37-2.45
Y: 0.6250 0.8750 0.7500  8 O 2.37-2.45
Mn: 0.0000 0.0000 0.5000  4 O 1.93-1.96
Mn: 0.0000 0.5000 0.0000  4 O 1.93-1.96
Mn: 0.0000 0.5000 0.5000  4 O 1.93-1.96
Mn: 0.5000 0.5000 0.0000  4 O 1.93-1.96
O: 0.0234 0.1301 0.3017  2 Mn 1.93-1.96
O: 0.2217 0.5234 0.3933  2 Mn 1.93-1.96
O: 0.3285 0.7217 0.1983  2 Mn 1.93-1.96
O: 0.3699 0.1715 0.8933  2 Mn 1.93-1.96
O: 0.6301 0.8285 0.1067  2 Mn 1.93-1.96
O: 0.6715 0.2783 0.8017  2 Mn 1.93-1.96
O: 0.7783 0.4766 0.6067  2 Mn 1.93-1.96
O: 0.9766 0.8699 0.6983  2 Mn 1.93-1.96

ΔE to the lowest computed polymorph = 0.079 eV/atom
Energy of formation from the pure elements = -2562 meV/atom
E = -8.06 eV per atom
Energy with MP2020 corrections = -8.931 eV per atom

---

Record 8
# YMn2O4

YMn2O4 after structural relaxation (GGA+U, the Materials Project database).

a b c (Å): 6.3907 6.3907 6.3907
angles (deg): 60.13 60.13 60.13
Last column: nearest neighbours and their distance in Å.
Element x y z (fractional)
Y: 0.1178 0.1178 0.1178  4 O 2.10-2.19
Y: 0.8822 0.8822 0.8822  4 O 2.10-2.19
Mn: 0.0000 0.5000 0.5000  6 O 2.08-2.24
Mn: 0.5000 0.0000 0.5000  6 O 2.08-2.24
Mn: 0.5000 0.5000 0.0000  6 O 2.08-2.24
Mn: 0.5000 0.5000 0.5000  6 O 2.21
O: 0.2523 0.2523 0.2523  1 Y 2.10, 3 Mn 2.24
O: 0.2577 0.2577 0.6992  3 Mn 2.08-2.21, 1 Y 2.19
O: 0.2577 0.6992 0.2577  3 Mn 2.08-2.21, 1 Y 2.19
O: 0.3008 0.7423 0.7423  3 Mn 2.08-2.21, 1 Y 2.19
O: 0.6992 0.2577 0.2577  3 Mn 2.08-2.21, 1 Y 2.19
O: 0.7423 0.3008 0.7423  3 Mn 2.08-2.21, 1 Y 2.19
O: 0.7423 0.7423 0.3008  3 Mn 2.08-2.21, 1 Y 2.19
O: 0.7477 0.7477 0.7477  1 Y 2.10, 3 Mn 2.24

ΔE to the lowest computed polymorph = 0.047 eV/atom
Energy of formation from the pure elements = -2594 meV/atom
E = -8.09 eV per atom
Energy with MP2020 corrections = -8.963 eV per atom

---

Record 9
# YMn2O4

YMn2O4 after structural relaxation (GGA+U, the Materials Project database).

a b c (Å): 6.2887 6.2887 6.4350
angles (deg): 118.61 118.61 88.95
Last column: nearest neighbours and their distance in Å.
Element x y z (fractional)
Y: 0.2499 0.7501 0.5000  6 O 2.24-2.28
Y: 0.7501 0.2499 0.0000  6 O 2.24-2.28
Mn: 0.2500 0.2509 0.5004  4 O 1.98-1.99
Mn: 0.2509 0.2500 0.0004  4 O 1.98-1.99
Mn: 0.6147 0.8853 0.2499  4 O 2.10-2.15
Mn: 0.8853 0.6147 0.7499  4 O 2.10-2.15
O: 0.0146 0.4643 0.4754  2 Mn 1.98-2.10
O: 0.0178 0.0258 0.4861  2 Mn 1.99-2.15
O: 0.0258 0.0178 0.9861  2 Mn 1.99-2.15
O: 0.0354 0.4849 0.0241  2 Mn 1.99-2.10
O: 0.4643 0.0146 0.9754  2 Mn 1.98-2.10
O: 0.4741 0.4815 0.0135  2 Mn 1.98-2.15
O: 0.4815 0.4741 0.5135  2 Mn 1.98-2.15
O: 0.4849 0.0354 0.5241  2 Mn 1.99-2.10

ΔE to the lowest computed polymorph = 0.000 eV/atom
Energy of formation from the pure elements = -2641 meV/atom
E = -8.14 eV per atom
Energy with MP2020 corrections = -9.010 eV per atom

---

Record 10
# YMnO3

YMnO3 after structural relaxation (GGA+U, the Materials Project database).

a b c (Å): 3.8723 3.8723 3.8723
angles (deg): 90.00 90.00 90.00
Last column: nearest neighbours and their distance in Å.
Element x y z (fractional)
Y: 0.0000 0.0000 0.0000  12 O 2.74
Mn: 0.5000 0.5000 0.5000  6 O 1.94
O: 0.0000 0.5000 0.5000  2 Mn 1.94
O: 0.5000 0.0000 0.5000  2 Mn 1.94
O: 0.5000 0.5000 0.0000  2 Mn 1.94

Energy of formation from the pure elements = -2711 meV/atom
E = -8.06 eV per atom
Energy with MP2020 corrections = -8.805 eV per atom

---

Record 11
# YMn2O5

YMn2O5 after structural relaxation (GGA+U, the Materials Project database).

a b c (Å): 7.3722 8.5766 5.7888
angles (deg): 90.00 90.00 90.00
Last column: nearest neighbours and their distance in Å.
Element x y z (fractional)
Y: 0.1379 0.1708 0.0000  8 O 2.34-2.51
Y: 0.3621 0.6708 0.0000  8 O 2.34-2.51
Y: 0.6379 0.3292 0.0000  8 O 2.34-2.51
Y: 0.8621 0.8292 0.0000  8 O 2.34-2.51
Mn: 0.0000 0.5000 0.2541  6 O 1.90-1.96
Mn: 0.0000 0.5000 0.7459  6 O 1.90-1.96
Mn: 0.0886 0.8487 0.5000  5 O 1.94-2.05
Mn: 0.4114 0.3487 0.5000  5 O 1.94-2.05
Mn: 0.5000 0.0000 0.2541  6 O 1.90-1.96
Mn: 0.5000 0.0000 0.7459  6 O 1.90-1.96
Mn: 0.5886 0.6513 0.5000  5 O 1.94-2.05
Mn: 0.9114 0.1513 0.5000  5 O 1.94-2.05
O: 0.0000 0.0000 0.2708  2 Mn 1.97
O: 0.0000 0.0000 0.7292  2 Mn 1.97
O: 0.1067 0.7067 0.2410  2 Mn 1.94
O: 0.1067 0.7067 0.7590  2 Mn 1.94
O: 0.1505 0.4302 0.5000  3 Mn 1.90-2.05
O: 0.1630 0.4430 0.0000  2 Mn 1.96
O: 0.3370 0.9430 0.0000  2 Mn 1.96
O: 0.3495 0.9302 0.5000  3 Mn 1.90-2.05
O: 0.3933 0.2067 0.2410  2 Mn 1.94
O: 0.3933 0.2067 0.7590  2 Mn 1.94
O: 0.5000 0.5000 0.2708  2 Mn 1.97
O: 0.5000 0.5000 0.7292  2 Mn 1.97
O: 0.6067 0.7933 0.2410  2 Mn 1.94
O: 0.6067 0.7933 0.7590  2 Mn 1.94
O: 0.6505 0.0698 0.5000  3 Mn 1.90-2.05
O: 0.6630 0.0570 0.0000  2 Mn 1.96
O: 0.8370 0.5570 0.0000  2 Mn 1.96
O: 0.8495 0.5698 0.5000  3 Mn 1.90-2.05
O: 0.8933 0.2933 0.2410  2 Mn 1.94
O: 0.8933 0.2933 0.7590  2 Mn 1.94

Energy of formation from the pure elements = -2639 meV/atom
E = -7.98 eV per atom
Energy with MP2020 corrections = -8.830 eV per atom

---

Record 12
# YMnO3

YMnO3 after structural relaxation (GGA+U, the Materials Project database).

a b c (Å): 3.6239 3.6239 11.4403
angles (deg): 90.00 90.00 120.00
Last column: nearest neighbours and their distance in Å.
Element x y z (fractional)
Y: 0.0000 0.0000 0.0000  6 O 2.30
Y: 0.0000 0.0000 0.5000  6 O 2.30
Mn: 0.3333 0.6667 0.2500  5 O 1.90-2.09
Mn: 0.6667 0.3333 0.7500  5 O 1.90-2.09
O: 0.0000 0.0000 0.2500  3 Mn 2.09
O: 0.0000 0.0000 0.7500  3 Mn 2.09
O: 0.3333 0.6667 0.0839  1 Mn 1.90
O: 0.3333 0.6667 0.4161  1 Mn 1.90
O: 0.6667 0.3333 0.5839  1 Mn 1.90
O: 0.6667 0.3333 0.9161  1 Mn 1.90

Energy of formation from the pure elements = -3015 meV/atom
E = -8.36 eV per atom
Energy with MP2020 corrections = -9.110 eV per atom

---

Please write out number 8 again, unchanged.
# YMn2O4

YMn2O4 after structural relaxation (GGA+U, the Materials Project database).

a b c (Å): 6.3907 6.3907 6.3907
angles (deg): 60.13 60.13 60.13
Last column: nearest neighbours and their distance in Å.
Element x y z (fractional)
Y: 0.1178 0.1178 0.1178  4 O 2.10-2.19
Y: 0.8822 0.8822 0.8822  4 O 2.10-2.19
Mn: 0.0000 0.5000 0.5000  6 O 2.08-2.24
Mn: 0.5000 0.0000 0.5000  6 O 2.08-2.24
Mn: 0.5000 0.5000 0.0000  6 O 2.08-2.24
Mn: 0.5000 0.5000 0.5000  6 O 2.21
O: 0.2523 0.2523 0.2523  1 Y 2.10, 3 Mn 2.24
O: 0.2577 0.2577 0.6992  3 Mn 2.08-2.21, 1 Y 2.19
O: 0.2577 0.6992 0.2577  3 Mn 2.08-2.21, 1 Y 2.19
O: 0.3008 0.7423 0.7423  3 Mn 2.08-2.21, 1 Y 2.19
O: 0.6992 0.2577 0.2577  3 Mn 2.08-2.21, 1 Y 2.19
O: 0.7423 0.3008 0.7423  3 Mn 2.08-2.21, 1 Y 2.19
O: 0.7423 0.7423 0.3008  3 Mn 2.08-2.21, 1 Y 2.19
O: 0.7477 0.7477 0.7477  1 Y 2.10, 3 Mn 2.24

ΔE to the lowest computed polymorph = 0.047 eV/atom
Energy of formation from the pure elements = -2594 meV/atom
E = -8.09 eV per atom
Energy with MP2020 corrections = -8.963 eV per atom

---

Among the records above, which one has the lowest E? number 6

---

Which of these has the highest energy with MP2020 corrections? number 2